The following is a DFT calculation (PBE+U) of Fe2Te3O9 after structural relaxation.

```
56
Lattice="-0.2516 0.9936 -5.2540 -6.5912 -4.3894 -0.5144 -10.0007 14.6368 3.2470" Properties=species:S:1:pos:R:3 pbc="T T T"
O -5.0881 5.7675 -3.9869
O -6.4843 -0.6294 -0.0701
O -4.9717 2.0609 0.4044
O -6.6046 7.1598 1.0001
O -11.7555 5.4735 1.4655
O -8.2701 3.1244 -1.8726
O -9.5379 6.8465 -3.1037
O -8.7710 9.5459 -2.9670
O -11.8718 9.1802 -2.9258
O -13.1144 12.0809 -1.9425
O -6.1717 8.7625 -1.3729
O -8.0725 1.6951 0.4456
O -8.4710 10.9595 -0.4721
O -8.3726 0.2816 -2.0493
O -5.9590 -2.1828 -4.9111
O -3.2903 1.9668 -1.9358
O -9.7482 13.9969 -0.2117
O -10.6718 2.4786 -1.1485
O -5.7355 -0.5853 -2.6956
O -8.5735 8.1167 -0.6488
O -11.1081 11.8263 0.1742
O -11.9650 6.9498 -1.1013
O -4.8786 4.2913 -1.4201
O -7.3056 4.3946 0.5823
O -10.3593 11.8704 -2.4513
O -3.7292 -0.8399 -0.5789
O -14.2442 11.4818 0.7968
O -10.8846 13.4239 2.3897
O -2.5534 2.0579 -4.8098
O -2.5994 -0.2407 -3.3182
O -7.0954 -2.7559 -2.3097
O -14.2901 9.1831 2.2884
O -6.8794 6.0233 -1.9286
O -13.5532 9.2743 -0.5856
O -9.9642 5.2177 -0.5928
O -10.2390 4.0812 -3.5215
Te -3.9831 0.9806 -4.0526
Te -6.9341 1.0271 -0.9793
Te -7.2475 -1.3374 -3.6579
Te -3.6253 3.1700 -0.4482
Te -10.3867 6.6399 0.7280
Te -12.8605 10.2604 1.5312
Te -13.2183 8.0711 -2.0732
Te -9.5961 12.5784 1.1365
Te -9.7213 2.2832 -2.8547
Te -7.1223 8.9579 0.3333
Te -9.9095 10.2140 -1.5421
Te -6.4569 4.6012 -3.2494
Fe -5.3078 -1.9141 -1.2423
Fe -7.8305 7.7323 -2.4821
Fe -9.0130 3.5087 -0.0393
Fe -11.1050 5.4542 -2.2982
Fe -14.8102 10.8771 -1.0952
Fe -2.0333 0.3640 -1.4262
Fe -5.7385 5.7868 -0.2232
Fe -11.5357 13.1552 -1.2791
```

## Properties
V ... 13.67 Å³/atom
E (MP2020) ... -371.3 eV/cell
Symmetry ... Pnma
M_tot ... 0.714 μB/atom
Mass density ... 5.54 g/cm³
ΔE to the lowest computed polymorph ... 0 meV/atom
Formation enthalpy at 0 K ... -1.5663 eV per atom

The following is a DFT calculation (PBE+U) of BaFeCuF7 after structural relaxation.

```
20
Lattice="-5.6393 0.3248 -4.7875 -3.9983 -5.0873 3.6000 -4.5889 2.4366 2.4700" Properties=species:S:1:pos:R:3 pbc="T T T"
Ba -6.8122 -2.1559 2.1802
Ba -5.1189 -1.3915 -2.1277
Cu -10.5794 -2.9031 1.4362
Cu -3.3136 -0.5226 1.5507
Fe -5.9880 1.7822 0.9982
Fe -8.5945 -2.9341 -1.5351
F -4.6711 0.9678 2.1596
F -11.3298 -2.3800 3.4185
F -5.1496 1.2443 -0.7091
F -4.3104 -4.0582 2.0051
F -7.1854 -2.1730 -0.5042
F -4.6936 -1.3373 0.5862
F -2.3972 0.2987 -0.0759
F -12.0277 -1.9702 0.3442
F -7.6338 0.5538 -2.0193
F -9.7546 -1.3350 -1.4724
F -9.3883 -3.8449 -0.0229
F -7.1777 0.2976 1.0885
F -2.1603 -2.3747 1.6280
F -9.3901 -1.4595 1.4262
```

## Properties
V ... 13.83 Å³/atom
E (MP2020) ... -113.2 eV/cell
Symmetry ... C2
M_tot ... 0.600 μB/atom
Mass density ... 4.68 g/cm³
ΔE to the lowest computed polymorph ... 0 meV/atom
Formation enthalpy at 0 K ... -2.8688 eV per atom

The following is a DFT calculation (PBE+U) of SrTlVO4 after structural relaxation.

```
28
Lattice="-2.1778 2.0925 5.1325 -1.4448 -7.1677 2.3093 9.2872 -0.5324 4.1578" Properties=species:S:1:pos:R:3 pbc="T T T"
O 0.2869 -3.1044 3.0455
O 6.6583 -4.9450 7.8320
O 5.7309 -1.6249 9.9940
O 1.1801 -6.4726 4.8455
O -0.7380 -1.7412 5.6006
O 3.6591 -0.8834 5.8318
O -2.5123 -3.4813 6.7989
O 4.8609 -3.4574 5.2689
O 3.7757 -2.7319 7.8767
O 3.5242 -1.9054 2.7364
O 0.0377 -5.6921 7.5883
O 4.0001 -7.1130 4.6071
O 7.1115 -0.2695 4.8763
O 2.0249 -3.1188 5.5954
O -0.4265 0.6414 3.0025
O 6.1438 1.0386 7.2964
V 6.0718 -6.4139 8.5430
V 3.6058 -2.5885 6.1433
V 3.8051 -0.4191 1.8885
V -2.1534 -1.7938 6.6242
Sr -0.3152 -4.3872 5.2614
Sr 6.2508 -5.7587 5.1517
Sr 4.0552 -0.1262 8.5303
Sr 1.3385 -0.9431 4.2557
Tl -1.5404 1.3977 5.5507
Tl 3.0369 -4.3805 3.2101
Tl 2.9089 -5.7752 7.1792
Tl 6.9240 -2.4573 7.2591
```

## Properties
V ... 16.62 Å³/atom
E (MP2020) ... -202.3 eV/cell
Symmetry ... P2_12_12_1
M_tot ... 0.000 μB/atom
Mass density ... 5.81 g/cm³
Formation enthalpy at 0 K ... -2.5226 eV per atom

The following is a DFT calculation (PBE+U) of MgV2O4 after structural relaxation.

```
14
Lattice="-2.1637 4.5590 0.7517 -0.3370 -5.0555 0.5996 4.6289 0.7396 8.8384" Properties=species:S:1:pos:R:3 pbc="T T T"
O -1.2504 -0.2483 0.6756
O 2.0959 -2.4155 6.0722
O 0.0323 2.6586 4.1175
O -1.2150 2.4593 1.7359
O 1.0641 0.1216 5.0948
O 1.3736 4.7683 7.3750
O 3.3431 -2.2162 8.4537
O 0.7546 -4.5252 2.8146
V 0.7329 3.7276 5.8070
V 1.3952 -3.4845 4.3826
V -0.2321 -3.7445 1.2755
V 2.3602 3.9876 8.9142
Mg 0.1198 -1.1842 2.8675
Mg 2.0083 1.4273 7.3221
```

## Properties
V ... 10.09 Å³/atom
E (MP2020) ... -115.5 eV/cell
Symmetry ... Cmcm
M_tot ... 0.571 μB/atom
Mass density ... 4.47 g/cm³
ΔE to the lowest computed polymorph ... 107 meV/atom
Formation enthalpy at 0 K ... -2.5989 eV per atom

The following is a DFT calculation (PBE+U) of BaYMgCoCuO5 after structural relaxation.

```
10
Lattice="-0.5461 -3.6625 -1.1662 2.4787 0.5647 -2.9342 7.1452 -2.8149 5.4943" Properties=species:S:1:pos:R:3 pbc="T T T"
Y 2.9643 -1.1678 2.2794
Mg 4.9998 -1.9697 3.8446
Cu 2.8918 -2.3075 -0.5696
O 7.7217 -4.2102 3.1443
O 5.7041 -1.4765 1.9661
O 1.7731 -2.6374 0.9903
O 4.1917 -3.5902 2.8501
O 3.2855 -0.5237 0.1063
Ba 0.2744 -0.1081 0.2110
Co 6.1289 -3.5827 1.9195
```

## Properties
V ... 14.23 Å³/atom
E (MP2020) ... -66.3 eV/cell
Symmetry ... P4mm
M_tot ... 0.263 μB/atom
Mass density ... 5.29 g/cm³
ΔE to the lowest computed polymorph ... 92 meV/atom
Formation enthalpy at 0 K ... -2.0365 eV per atom

The following is a DFT calculation (PBE+U) of K2FeP2H3O8F2 after structural relaxation.

```
36
Lattice="-2.6239 3.6432 -1.8547 -4.9800 -0.1089 6.8313 7.0044 6.7501 5.2138" Properties=species:S:1:pos:R:3 pbc="T T T"
K -3.1476 2.8737 4.0849
K 0.4870 4.0671 1.5218
K 2.4950 7.4160 6.0961
K -1.0612 6.2112 8.7162
O 2.2742 7.4997 10.2489
O -2.8742 2.7992 -0.0640
O -0.4149 1.5819 0.8746
O -2.1728 2.1831 6.7319
O 1.5347 9.6141 7.6232
O -0.6286 4.1232 6.8259
O 1.7284 5.5742 8.7842
O -2.2933 5.3579 4.7973
O 2.7925 4.0765 3.2201
O -2.1285 0.7310 2.4943
O -0.1417 8.7283 9.3036
O 1.5667 8.0938 3.4748
O 0.0346 6.1467 3.3629
O -3.3234 6.1487 6.9413
O -2.3416 4.7172 1.4176
O 1.6926 4.9015 5.3480
H 0.0420 1.9780 3.6556
H -2.4518 0.0365 3.3053
H -5.0743 4.9109 5.2043
H -0.6495 8.3246 6.5379
H -4.0070 6.8212 7.5115
H 4.4745 5.3550 4.9942
P 2.7617 3.9646 4.7619
P 0.0748 9.6933 8.1262
P -0.6287 0.6127 2.0345
P -3.3466 6.2994 5.3756
F -0.4314 3.4654 4.0184
F -0.1808 6.7894 6.1803
F -5.2522 3.4093 5.7349
F 4.6481 6.9042 4.4706
Fe 0.7171 8.4636 11.1019
Fe -0.2860 5.1417 5.0859
```

## Properties
V ... 12.56 Å³/atom
E (MP2020) ... -234.5 eV/cell
Symmetry ... P2_1
M_tot ... 0.278 μB/atom
Mass density ... 2.68 g/cm³
ΔE to the lowest computed polymorph ... 0 meV/atom
Formation enthalpy at 0 K ... -2.3417 eV per atom

The following is a DFT calculation (PBE+U) of Li9Mn2Co5O16 after structural relaxation.

```
32
Lattice="-5.1259 -2.7039 -0.0335 -0.5085 -2.1841 6.1870 -4.5853 5.8250 2.2332" Properties=species:S:1:pos:R:3 pbc="T T T"
Co -4.4826 -0.7665 2.0930
Co -6.3745 -0.1979 4.1839
Co -5.7051 1.7046 6.2078
Co -7.1251 4.4474 2.2153
Co -8.2888 0.3056 6.2200
Li -5.1211 3.6742 4.2821
Li -7.0065 -2.2101 6.2108
Li -5.7680 1.8107 2.1959
Li -3.2640 3.1818 2.2059
Li -7.7092 2.3815 4.2718
Li -2.5383 -1.4448 4.1004
Li -4.4227 -0.8555 6.2291
Li -3.8425 1.1325 4.1847
Li -5.0589 -2.8107 4.0776
O -7.8688 2.5750 2.1673
O -8.2496 0.4131 4.2543
O -2.5927 -1.2545 2.0538
O -5.2377 4.0066 2.2285
O -5.8145 1.7589 4.2760
O -5.0986 3.6776 6.4866
O -6.3826 -0.2887 2.0990
O -3.8582 1.1876 6.3340
O -7.6383 2.2502 6.3951
O -1.8800 0.5279 4.0230
O -3.7893 1.0519 2.0835
O -2.3590 -1.6049 6.3056
O -4.5522 -0.8220 4.0160
O -5.1516 -2.6327 1.9386
O -6.3499 -0.2407 6.2297
O -4.9671 -3.0369 6.2889
Mn -5.1175 -2.6848 -0.0281
Mn -1.9557 0.5873 2.1527
```

## Properties
V ... 8.87 Å³/atom
E (MP2020) ... -208.9 eV/cell
Symmetry ... P1
M_tot ... 0.250 μB/atom
Mass density ... 4.23 g/cm³
ΔE to the lowest computed polymorph ... 29 meV/atom
Formation enthalpy at 0 K ... -1.8347 eV per atom

The following is a DFT calculation (PBE+U) of Mg14SiNiO16 after structural relaxation.

```
32
Lattice="-3.9763 -7.0684 -2.7634 3.8833 0.7855 -7.5969 3.2395 -2.3738 1.4105" Properties=species:S:1:pos:R:3 pbc="T T T"
O -0.3844 -6.2846 -3.2710
O -1.0431 -1.8542 -0.7249
O 2.8646 0.5794 -5.6040
O 0.9259 -1.4129 -4.5043
O 1.6197 -1.1869 0.7052
O 1.5732 -4.3283 -4.4749
O 3.5614 -0.7941 -3.0932
O 0.9032 -2.9494 -7.0380
O 1.0187 0.2061 -1.9929
O 1.5964 -2.7634 -1.8944
O -0.3684 -4.7211 -0.6764
O 1.5501 -5.8933 -7.0554
O -1.0189 -4.8701 -5.8559
O -2.9332 -5.2142 -2.0385
O -0.9962 -3.3336 -3.3223
O 3.5309 -2.3721 -5.6788
Mg 1.9591 -1.1373 -6.4136
Mg -1.3761 -6.5125 -1.3768
Mg -0.0702 -4.7448 -7.8239
Mg 4.5456 -0.5951 -5.0186
Mg 2.5598 -4.1288 -6.4049
Mg -2.0521 -5.1456 -3.9467
Mg 1.9416 0.3927 -3.7984
Mg 0.5631 -6.1241 -5.1769
Mg 0.5867 -4.5279 -2.5449
Mg 0.6394 -2.9296 0.0239
Mg -0.0228 -1.5382 -2.5364
Mg 2.5834 -2.5326 -3.7729
Mg -1.9881 -3.5342 -1.3817
Mg 2.5772 -0.9932 -1.1678
Ni 0.0000 0.0000 0.0000
Si -0.0465 -3.1415 -5.1801
```

## Properties
V ... 9.76 Å³/atom
E (MP2020) ... -201.3 eV/cell
Symmetry ... P4/mmm
M_tot ... 0.042 μB/atom
Mass density ... 3.63 g/cm³
ΔE to the lowest computed polymorph ... 25 meV/atom
Formation enthalpy at 0 K ... -2.7650 eV per atom